# TmAlO3

A geometry-optimized TmAlO3 structure (PBE-GGA, Materials Project).

Computed properties:
Volume in A^3/atom: 10.2
Symmetry: No. 62
Energy relative to the elements in eV per atom: -3.777

Cell: 5.1552 5.3767 7.3899 Å, 90.00 90.00 90.00°
Positions (direct):
O (0.2009, 0.2022, 0.5507)
O (0.2991, 0.7022, 0.5507)
O (0.7991, 0.7978, 0.4493)
Tm (0.4842, 0.4386, 0.7500)
Al (0.0000, 0.5000, 0.5000)
O (0.0967, 0.4711, 0.2500)
Tm (0.9842, 0.0614, 0.2500)
O (0.9033, 0.5289, 0.7500)
O (0.5967, 0.0289, 0.7500)
Tm (0.0158, 0.9386, 0.7500)
O (0.7991, 0.7978, 0.0507)
Al (0.5000, 0.0000, 0.0000)
O (0.7009, 0.2978, 0.0507)
Tm (0.5158, 0.5614, 0.2500)
O (0.2009, 0.2022, 0.9493)
O (0.7009, 0.2978, 0.4493)
O (0.2991, 0.7022, 0.9493)
O (0.4033, 0.9711, 0.2500)
Al (0.0000, 0.5000, 0.0000)
Al (0.5000, 0.0000, 0.5000)


# Mg14GaCu

A geometry-optimized Mg14GaCu structure (PBE-GGA, Materials Project).

Computed properties:
Volume in A^3/atom: 21.3
Symmetry: No. 187
Energy relative to the elements in eV per atom: -0.004

Cell: 6.2075 6.2075 10.2234 Å, 90.00 90.00 120.00°
Positions (direct):
Mg (0.6668, 0.3335, 0.6250)
Mg (0.3295, 0.1705, 0.3718)
Mg (0.3295, 0.1705, 0.8782)
Mg (0.3295, 0.6590, 0.3718)
Mg (0.8410, 0.1705, 0.3718)
Mg (0.6678, 0.8322, 0.1250)
Mg (0.8410, 0.1705, 0.8782)
Mg (0.3295, 0.6590, 0.8782)
Mg (0.1665, 0.8332, 0.6250)
Ga (0.1667, 0.3333, 0.6250)
Cu (0.1667, 0.3333, 0.1250)
Mg (0.8333, 0.6667, 0.3747)
Mg (0.1644, 0.8322, 0.1250)
Mg (0.6668, 0.8332, 0.6250)
Mg (0.8333, 0.6667, 0.8753)
Mg (0.6678, 0.3356, 0.1250)


Q: Which of these has the lowest energy relative to the elements?
A: TmAlO3